# Fe3C PBE-GGA optimized geometry
data_Fe3C
_cell_length_a 4.6617
_cell_length_b 4.6617
_cell_length_c 4.3203
_cell_angle_alpha 90.00
_cell_angle_beta 90.00
_cell_angle_gamma 120.00
_space_group_name_H-M_alt 'P 63 2 2'
_space_group_IT_number 182
_space_group_name_Hall 'P 6c 2c'
loop_
_atom_site_label
_atom_site_type_symbol
_atom_site_fract_x
_atom_site_fract_y
_atom_site_fract_z
_atom_site_occupancy
Fe1 Fe 0.0000 0.3211 0.0000 1
C1 C 0.3333 0.6667 0.2500 1
# DFT total energy = -8.60 eV per atom
# Energy of formation from the pure elements = 0.06 eV/atom